# 1
First-principles (PBE+U) data for a relaxed structure of Li9Mn2Co5O16, as listed in the Materials Project.

Unit cell a=19.3141 b=19.3141 c=5.1823 alpha=88.42 beta=88.42 gamma=8.55
Positions (direct):
O1 0.0960 0.0960 0.9718
O2 0.7225 0.7225 0.1090
O3 0.5957 0.5957 0.4725
O4 0.1536 0.1536 0.2722
O5 0.6554 0.6554 0.7778
O6 0.7773 0.7773 0.3898
O7 0.4033 0.4033 0.5215
O8 0.9721 0.9721 0.3687
O9 0.8447 0.8447 0.7380
O10 0.3469 0.3469 0.2310
O11 0.4714 0.4714 0.8657
O12 0.2230 0.2230 0.5395
O13 0.9045 0.9045 0.0148
O14 0.2768 0.2768 0.9564
O15 0.5289 0.5289 0.1348
O16 0.0279 0.0279 0.6311
Co1 0.2497 0.2497 0.2495
Co2 0.6254 0.6254 0.1225
Co3 0.5003 0.5003 0.4993
Co4 0.3742 0.3742 0.8780
Co5 0.1260 0.1260 0.6223
Li1 0.1898 0.1898 0.9318
Li2 0.8090 0.8090 0.0729
Li3 0.5645 0.5645 0.8131
Li4 0.3082 0.3082 0.5753
Li5 0.9377 0.9377 0.6905
Li6 0.7495 0.7495 0.7503
Li7 0.6899 0.6899 0.4252
Li8 0.0634 0.0634 0.3121
Li9 0.4373 0.4373 0.1847
Mn1 0.0004 0.0004 0.9995
Mn2 0.8747 0.8747 0.3783

Calculated values
- Crystal system: monoclinic
- MP2020-corrected energy: -6.490 eV/atom
- VASP energy: -185.15 eV for the cell shown
- Symmetry: Cm, No. 8
- ΔE_f: -1.795 eV per atom

=====

# 2
First-principles (PBE+U) data for a relaxed structure of Tl2CoP4H8O16, as listed in the Materials Project.

Unit cell a=8.7621 b=9.9925 c=10.4044 alpha=107.34 beta=106.79 gamma=65.17
Positions (direct):
Tl1 0.7971 0.4074 0.7012
Tl2 0.2969 0.9072 0.2015
Tl3 0.7031 0.0928 0.7985
Tl4 0.2029 0.5926 0.2989
H1 0.6223 0.8013 0.5392
H2 0.5097 0.2962 0.1303
H3 0.1401 0.8998 0.8736
H4 0.0099 0.7961 0.6301
H5 0.8779 0.6987 0.9609
H6 0.4903 0.7037 0.8697
H7 0.3743 0.2865 0.9892
H8 0.1256 0.2135 0.5109
H9 0.8744 0.7865 0.4890
H10 0.1221 0.3014 0.0391
H11 0.6401 0.3998 0.3738
H12 0.9901 0.2039 0.3699
H13 0.3777 0.1987 0.4608
H14 0.3599 0.6002 0.6262
H15 0.8599 0.1002 0.1264
H16 0.6257 0.7135 0.0108
O1 0.8577 0.4987 0.2675
O2 0.4706 0.3999 0.7877
O3 0.8129 0.0139 0.0759
O4 0.2692 0.8758 0.5149
O5 0.3003 0.2691 0.5815
O6 0.0240 0.1851 0.4648
O7 0.5621 0.2851 0.3017
O8 0.5243 0.6848 0.9646
O9 0.7308 0.1242 0.4851
O10 0.9382 0.2147 0.1984
O11 0.9231 0.6422 0.8689
O12 0.4757 0.3152 0.0354
O13 0.3131 0.5137 0.5758
O14 0.2309 0.6243 0.9849
O15 0.5294 0.6001 0.2123
O16 0.3576 0.9989 0.7673
O17 0.1871 0.9861 0.9241
O18 0.0769 0.3578 0.1311
O19 0.4229 0.1423 0.3688
O20 0.9760 0.8149 0.5352
O21 0.1995 0.2310 0.9184
O22 0.4379 0.7148 0.6983
O23 0.6869 0.4863 0.4242
O24 0.5771 0.8577 0.6312
O25 0.8005 0.7690 0.0816
O26 0.0618 0.7853 0.8016
O27 0.6997 0.7309 0.4185
O28 0.9707 0.8999 0.2877
O29 0.1423 0.5013 0.7325
O30 0.0293 0.1001 0.7123
O31 0.7691 0.3757 0.0151
O32 0.6424 0.0011 0.2327
P1 0.1831 0.0852 0.8292
P2 0.8169 0.9148 0.1708
P3 0.3169 0.4148 0.6707
P4 0.4055 0.8521 0.6434
P5 0.5945 0.1479 0.3566
P6 0.9055 0.3520 0.1435
P7 0.6831 0.5852 0.3293
P8 0.0945 0.6480 0.8565
Co1 0.5000 0.5000 0.0000
Co2 0.0000 0.0000 0.5000

Calculated values
- MP2020-corrected energy: -6.460 eV/atom
- VASP energy: -375.27 eV for the cell shown
- ΔE_f: -1.951 eV per atom

=====

# 3
First-principles (PBE+U) data for a relaxed structure of Mn12O7F17, as listed in the Materials Project.

Unit cell a=5.2526 b=5.5575 c=15.0834 alpha=83.22 beta=89.66 gamma=89.84
Positions (direct):
F1 0.2792 0.3712 0.0878
F2 0.1772 0.1240 0.5715
F3 0.8592 0.7895 0.9275
F4 0.2120 0.6357 0.2609
F5 0.2068 0.1833 0.9231
F6 0.3444 0.8556 0.7345
F7 0.8413 0.1033 0.7565
F8 0.0969 0.8616 0.0958
F9 0.6718 0.8370 0.5870
F10 0.8381 0.1435 0.4213
F11 0.6470 0.3328 0.2504
F12 0.3025 0.8827 0.4011
F13 0.2085 0.6135 0.5947
F14 0.3750 0.6957 0.9101
F15 0.7137 0.3473 0.5736
F16 0.6068 0.7743 0.0763
F17 0.1330 0.1398 0.2427
Mn1 0.5044 0.0343 0.8359
Mn2 0.9565 0.5034 0.1676
Mn3 0.5235 0.5850 0.3381
Mn4 0.8936 0.0453 0.0055
Mn5 0.4752 0.0631 0.1690
Mn6 0.5696 0.4972 0.9962
Mn7 0.5196 0.5483 0.6759
Mn8 0.0006 0.8860 0.6680
Mn9 0.0251 0.4260 0.4921
Mn10 0.0172 0.3865 0.8248
Mn11 0.9739 0.8997 0.3301
Mn12 0.5058 0.0860 0.4919
O1 0.7011 0.8199 0.2544
O2 0.8259 0.6489 0.4102
O3 0.3354 0.3440 0.7630
O4 0.7626 0.2791 0.0796
O5 0.3416 0.3812 0.4282
O6 0.8317 0.6006 0.7406
O7 0.7235 0.2742 0.9138

Calculated values
- Crystal system: triclinic
- MP2020-corrected energy: -7.475 eV/atom
- VASP energy: -236.43 eV for the cell shown
- Symmetry: P1, No. 1
- ΔE_f: -2.555 eV per atom

=====

# 4
First-principles (PBE+U) data for a relaxed structure of Li4Al3Cr3Sb2O16, as listed in the Materials Project.

Unit cell a=5.8659 b=11.1923 c=10.1403 alpha=63.27 beta=90.19 gamma=104.87
Positions (direct):
O1 0.7919 0.5983 0.0374
O2 0.9274 0.8404 0.5612
O3 0.1460 0.8402 0.3380
O4 0.2017 0.8404 0.8355
O5 0.6746 0.3424 0.8457
O6 0.2982 0.0980 0.3717
O7 0.4274 0.8404 0.0612
O8 0.0407 0.5983 0.2862
O9 0.9491 0.3443 0.5689
O10 0.8857 0.7979 0.1054
O11 0.5407 0.5983 0.7862
O12 0.0512 0.6014 0.7825
O13 0.3976 0.3424 0.5686
O14 0.3215 0.6140 0.0215
O15 0.8976 0.3423 0.0686
O16 0.2901 0.0909 0.8730
O17 0.7982 0.0980 0.8717
O18 0.1352 0.3036 0.8537
O19 0.1746 0.3424 0.3457
O20 0.7901 0.0909 0.3730
O21 0.5706 0.1109 0.1062
O22 0.0706 0.1109 0.6061
O23 0.2919 0.5983 0.5374
O24 0.7017 0.8404 0.3355
O25 0.3857 0.7979 0.6054
O26 0.6460 0.8402 0.8379
O27 0.4491 0.3443 0.0689
O28 0.6352 0.3036 0.3537
O29 0.0425 0.0980 0.1160
O30 0.5425 0.0980 0.6160
O31 0.8215 0.6140 0.5215
O32 0.5512 0.6014 0.2825
Sb1 0.9959 0.9857 0.3395
Sb2 0.7456 0.4885 0.9220
Sb3 0.4958 0.9856 0.8395
Sb4 0.2456 0.4885 0.4220
Al1 0.8586 0.7144 0.3127
Al2 0.1030 0.7144 0.5571
Al3 0.8520 0.2148 0.9777
Al4 0.6030 0.7144 0.0571
Al5 0.3586 0.7144 0.8127
Al6 0.3519 0.2148 0.4778
Cr1 0.1130 0.7136 0.0578
Cr2 0.3618 0.2137 0.9773
Cr3 0.8618 0.2136 0.4773
Cr4 0.6081 0.2136 0.2236
Cr5 0.6129 0.7136 0.5578
Cr6 0.1082 0.2136 0.7236
Li1 0.4897 0.9859 0.5081
Li2 0.2419 0.4896 0.7562
Li3 0.7052 0.4075 0.6291
Li4 0.9897 0.9859 0.0081
Li5 0.4550 0.9048 0.2134
Li6 0.7419 0.4896 0.2562
Li7 0.9550 0.9048 0.7134
Li8 0.2052 0.4075 0.1291

Calculated values
- MP2020-corrected energy: -7.428 eV/atom
- VASP energy: -381.97 eV for the cell shown
- ΔE_f: -2.597 eV per atom

=====

# 5
First-principles (PBE+U) data for a relaxed structure of Bi2W2O9, as listed in the Materials Project.

Unit cell a=5.4527 b=5.4531 c=24.5587 alpha=90.00 beta=90.00 gamma=90.00
Positions (direct):
O1 0.7829 0.9317 0.7464
O2 0.5864 0.7412 0.8436
O3 0.9136 0.2412 0.3436
O4 0.4300 0.7918 0.5271
O5 0.9139 0.7414 0.3425
O6 0.9300 0.7082 0.5271
O7 0.2829 0.5683 0.7464
O8 0.0864 0.7588 0.8436
O9 0.5011 0.2841 0.5064
O10 0.4136 0.2588 0.3436
O11 0.7571 0.0550 0.5939
O12 0.0700 0.2918 0.0271
O13 0.5861 0.2414 0.8425
O14 0.7268 0.9324 0.4411
O15 0.7171 0.4317 0.2464
O16 0.9989 0.7841 0.0064
O17 0.5860 0.7043 0.6612
O18 0.5700 0.2082 0.0271
O19 0.2268 0.5676 0.4411
O20 0.0011 0.2159 0.5064
O21 0.7429 0.5550 0.0939
O22 0.2571 0.4450 0.5939
O23 0.4989 0.7159 0.0064
O24 0.4140 0.2957 0.1612
O25 0.4925 0.7872 0.1818
O26 0.0075 0.2872 0.6818
O27 0.7732 0.4324 0.9411
O28 0.2732 0.0676 0.9411
O29 0.9925 0.7128 0.1818
O30 0.0860 0.7957 0.6612
O31 0.4139 0.7586 0.3425
O32 0.2171 0.0683 0.2464
O33 0.2429 0.9450 0.0939
O34 0.9140 0.2043 0.1612
O35 0.0861 0.2586 0.8425
O36 0.5075 0.2128 0.6818
Bi1 0.6442 0.0218 0.2899
Bi2 0.3579 0.4782 0.8957
Bi3 0.1442 0.4782 0.2899
Bi4 0.8579 0.0218 0.8957
Bi5 0.1421 0.9782 0.3957
Bi6 0.6421 0.5218 0.3957
Bi7 0.3558 0.9782 0.7899
Bi8 0.8558 0.5218 0.7899
W1 0.6801 0.5015 0.1707
W2 0.1801 0.9985 0.1707
W3 0.8199 0.0015 0.6707
W4 0.3199 0.4985 0.6707
W5 0.1929 0.4985 0.5168
W6 0.3071 0.9985 0.0168
W7 0.8071 0.5015 0.0168
W8 0.6929 0.0015 0.5168

Calculated values
- Crystal system: orthorhombic
- MP2020-corrected energy: -8.044 eV/atom
- VASP energy: -358.06 eV for the cell shown
- Symmetry: Pna2_1, No. 33
- ΔE_f: -2.027 eV per atom

=====

# 6
First-principles (PBE+U) data for a relaxed structure of Ca3As4W3O16, as listed in the Materials Project.

Unit cell a=5.2145 b=10.5054 c=17.6043 alpha=59.22 beta=90.00 gamma=90.00
Positions (direct):
Ca1 0.4721 0.7292 0.7679
Ca2 0.5279 0.2708 0.2321
Ca3 0.0279 0.7292 0.2679
Ca4 0.9721 0.2708 0.7321
Ca5 0.5000 0.0000 0.5000
Ca6 0.0000 0.0000 0.0000
W1 0.0432 0.2122 0.1028
W2 0.0000 0.5000 0.5000
W3 0.5000 0.5000 0.0000
W4 0.5432 0.7878 0.3972
W5 0.4568 0.2122 0.6028
W6 0.9568 0.7878 0.8972
O1 0.8526 0.7789 0.0091
O2 0.6696 0.9979 0.6342
O3 0.6474 0.7789 0.5091
O4 0.4250 0.4844 0.8892
O5 0.1783 0.3327 0.8150
O6 0.5750 0.5156 0.1108
O7 0.9250 0.5156 0.6108
O8 0.6735 0.0967 0.8940
O9 0.7283 0.3225 0.0567
O10 0.9875 0.2003 0.2270
O11 0.3265 0.9033 0.1060
O12 0.1696 0.0021 0.8658
O13 0.3804 0.1007 0.1715
O14 0.5125 0.2003 0.7270
O15 0.3304 0.0021 0.3658
O16 0.8217 0.6673 0.1850
O17 0.8304 0.9979 0.1342
O18 0.2717 0.6775 0.9433
O19 0.3526 0.2211 0.4909
O20 0.6783 0.6673 0.6850
O21 0.1196 0.1007 0.6715
O22 0.2283 0.6775 0.4433
O23 0.8265 0.0967 0.3940
O24 0.0750 0.4844 0.3892
O25 0.1474 0.2211 0.9909
O26 0.3217 0.3327 0.3150
O27 0.0125 0.7997 0.7730
O28 0.8804 0.8993 0.3285
O29 0.6196 0.8993 0.8285
O30 0.1735 0.9033 0.6060
O31 0.7717 0.3225 0.5567
O32 0.4875 0.7997 0.2730
As1 0.5107 0.9541 0.1646
As2 0.9893 0.9541 0.6646
As3 0.6129 0.5984 0.6169
As4 0.1129 0.4016 0.8831
As5 0.0107 0.0459 0.3354
As6 0.3871 0.4016 0.3831
As7 0.4893 0.0459 0.8354
As8 0.8871 0.5984 0.1169

Calculated values
- Crystal system: monoclinic
- MP2020-corrected energy: -7.483 eV/atom
- VASP energy: -340.49 eV for the cell shown
- Symmetry: P2_1/c, No. 14
- ΔE_f: -1.995 eV per atom